Record 1
The following is a DFT calculation (PBE) of crystalline K3Rh at its relaxed geometry.

space-group type: C2/m
magnetic moment: 0.003 μB/atom
energy of formation: 0.56 eV/atom

Unit cell a=6.767 b=6.767 c=6.201 alpha=105.41 beta=105.41 gamma=44.85
Sites, in units of the cell vectors:
1 K 0.000 0.000 0.000
2 K 0.343 0.343 0.374
3 K 0.657 0.657 0.626
4 Rh 0.000 0.000 0.500


Record 2
The following is a DFT calculation (PBE) of crystalline BaSmEuBiO6 at its relaxed geometry.

space-group type: P-1
E above lowest polymorph: 0.00 eV/f.u.
magnetic moment: 0.683 μB/atom
energy of formation: -2.80 eV/atom

Unit cell a=6.130 b=6.264 c=8.751 alpha=90.10 beta=90.26 gamma=90.10
Sites, in units of the cell vectors:
1 Ba 0.012 0.043 0.250
2 Ba 0.988 0.957 0.750
3 Sm 0.000 0.500 0.500
4 Sm 0.500 0.000 0.000
5 Eu 0.490 0.551 0.251
6 Eu 0.510 0.449 0.749
7 Bi 0.000 0.500 0.000
8 Bi 0.500 0.000 0.500
9 O 0.114 0.514 0.758
10 O 0.206 0.779 0.051
11 O 0.220 0.790 0.450
12 O 0.299 0.314 0.055
13 O 0.317 0.301 0.447
14 O 0.424 0.045 0.743
15 O 0.576 0.955 0.257
16 O 0.683 0.699 0.553
17 O 0.701 0.686 0.945
18 O 0.780 0.210 0.550
19 O 0.794 0.221 0.949
20 O 0.886 0.486 0.242


Record 3
The following is a DFT calculation (PBE) of crystalline La9Al5S21 at its relaxed geometry.

space-group type: R3
magnetic moment: 0.000 μB/atom
energy of formation: -2.13 eV/atom

Unit cell a=11.888 b=11.888 c=11.888 alpha=96.87 beta=96.87 gamma=96.87
Sites, in units of the cell vectors:
1 La 0.000 0.375 0.133
2 La 0.036 0.167 0.797
3 La 0.038 0.798 0.669
4 La 0.131 0.371 0.501
5 La 0.133 0.000 0.375
6 La 0.167 0.797 0.036
7 La 0.332 0.703 0.464
8 La 0.371 0.501 0.131
9 La 0.375 0.133 0.000
10 La 0.463 0.706 0.838
11 La 0.464 0.332 0.703
12 La 0.501 0.131 0.371
13 La 0.669 0.038 0.798
14 La 0.703 0.464 0.332
15 La 0.706 0.838 0.463
16 La 0.797 0.036 0.167
17 La 0.798 0.669 0.038
18 La 0.838 0.463 0.706
19 Al 0.079 0.079 0.079
20 Al 0.142 0.474 0.807
21 Al 0.264 0.264 0.264
22 Al 0.308 0.974 0.641
23 Al 0.474 0.807 0.142
24 Al 0.579 0.579 0.579
25 Al 0.641 0.308 0.974
26 Al 0.764 0.764 0.764
27 Al 0.807 0.142 0.474
28 Al 0.974 0.641 0.308
29 S 0.026 0.619 0.131
30 S 0.055 0.195 0.272
31 S 0.072 0.552 0.654
32 S 0.098 0.762 0.433
33 S 0.131 0.026 0.619
34 S 0.141 0.994 0.910
35 S 0.195 0.272 0.055
36 S 0.219 0.321 0.734
37 S 0.226 0.458 0.305
38 S 0.263 0.597 0.934
39 S 0.272 0.055 0.195
40 S 0.282 0.799 0.696
41 S 0.305 0.226 0.458
42 S 0.321 0.734 0.219
43 S 0.363 0.945 0.465
44 S 0.389 0.536 0.620
45 S 0.399 0.885 0.991
46 S 0.433 0.098 0.762
47 S 0.458 0.305 0.226
48 S 0.465 0.363 0.945
49 S 0.536 0.620 0.389
50 S 0.552 0.654 0.072
51 S 0.576 0.793 0.652
52 S 0.597 0.934 0.263
53 S 0.619 0.131 0.026
54 S 0.620 0.389 0.536
55 S 0.652 0.576 0.793
56 S 0.654 0.072 0.552
57 S 0.696 0.282 0.799
58 S 0.701 0.854 0.933
59 S 0.734 0.219 0.321
60 S 0.762 0.433 0.098
61 S 0.793 0.652 0.576
62 S 0.799 0.696 0.282
63 S 0.854 0.933 0.701
64 S 0.885 0.991 0.399
65 S 0.910 0.141 0.994
66 S 0.933 0.701 0.854
67 S 0.934 0.263 0.597
68 S 0.945 0.465 0.363
69 S 0.991 0.399 0.885
70 S 0.994 0.910 0.141


Record 4
The following is a DFT calculation (PBE) of crystalline Tl2Sn2S5 at its relaxed geometry.

space-group type: C2/c
energy of formation: -0.67 eV/atom

Unit cell a=6.935 b=6.935 c=11.633 alpha=104.91 beta=104.91 gamma=70.21
Sites, in units of the cell vectors:
1 Tl 0.039 0.396 0.317
2 Tl 0.396 0.039 0.817
3 Tl 0.604 0.961 0.183
4 Tl 0.961 0.604 0.683
5 Sn 0.251 0.560 0.058
6 Sn 0.440 0.749 0.442
7 Sn 0.560 0.251 0.558
8 Sn 0.749 0.440 0.942
9 S 0.141 0.251 0.038
10 S 0.185 0.815 0.250
11 S 0.251 0.141 0.538
12 S 0.352 0.625 0.885
13 S 0.375 0.648 0.615
14 S 0.625 0.352 0.385
15 S 0.648 0.375 0.115
16 S 0.749 0.859 0.462
17 S 0.815 0.185 0.750
18 S 0.859 0.749 0.962